No. 1
This record from the Materials Project describes Li2CoNiO4 after structural relaxation. The functional is PBE+U.

Theoretical density = 4.60 Mg/m³
Calculated formation energy = -1558 meV per atom
DFT total energy = -5.255 eV/atom
Distance to the lowest polymorph of the same formula = 1.50 kcal/mol of atoms

Structure (POSCAR):
```
Li2CoNiO4
1.0
1.887 -4.100 -2.436
-4.814 -0.779 1.590
-1.983 2.078 -5.015
Li Co Ni O
4 2 2 8
Cartesian
-2.009 -2.930 -5.401
-4.366 -2.309 -0.882
-3.442 -0.367 -5.430
-3.920 -3.835 -3.364
-0.546 -0.490 -4.978
-1.016 -3.970 -2.895
-4.903 -2.806 -5.845
-2.462 -1.394 -2.946
-1.412 -0.608 -1.354
-3.773 -2.055 -4.341
-2.507 -3.230 -1.999
-2.120 0.290 -4.032
-5.271 0.511 -4.348
-0.904 -2.137 -3.856
-1.610 -1.231 -6.506
-4.021 -0.665 -2.025
```



No. 2
This record from the Materials Project describes Li2Co3NiO8 after structural relaxation. The functional is PBE+U.

Theoretical density = 4.45 Mg/m³
Calculated formation energy = -1335 meV per atom
DFT total energy = -5.446 eV/atom
Distance to the lowest polymorph of the same formula = 2.41 kcal/mol of atoms

Structure (POSCAR):
```
Li2Co3NiO8
1.0
-4.503 2.127 3.077
-1.162 5.859 0.009
-0.868 -3.096 -4.782
Li Co Ni O
2 3 1 8
Cartesian
-3.701 0.897 -3.239
-5.518 3.509 0.690
-3.848 5.374 -0.844
-3.120 -2.033 -3.244
-4.937 0.579 0.685
-1.162 5.859 0.009
-3.946 2.168 1.278
-2.588 2.722 -2.975
-2.134 -0.430 -2.650
-4.399 5.320 0.953
-1.568 0.975 -0.384
-4.268 0.486 -1.240
-2.266 4.403 -0.457
-4.965 3.914 -1.313
```



No. 3
This record from the Materials Project describes Li4Co2Ni5O12 after structural relaxation. The functional is PBE+U.

Theoretical density = 5.01 Mg/m³
Calculated formation energy = -1415 meV per atom
DFT total energy = -5.150 eV/atom

Structure (POSCAR):
```
Li4Co2Ni5O12
1.0
-5.048 0.355 -0.085
-1.385 -8.119 -5.167
-3.015 -8.354 9.725
Li Co Ni O
12 6 15 36
Cartesian
-8.150 -15.709 3.961
-7.077 -11.198 2.269
-6.056 -8.473 2.729
-6.087 -10.358 4.933
-5.462 -13.074 0.770
-4.336 -8.576 -0.958
-4.670 -14.141 5.598
-3.344 -5.724 -0.487
-3.361 -7.673 1.691
-3.685 -11.517 6.065
-2.715 -8.480 -4.656
-1.427 -2.356 2.763
-6.896 -9.272 0.103
-4.882 -3.853 1.088
-5.201 -9.532 7.602
-4.291 -6.582 -3.074
-4.553 -12.274 3.437
-2.497 -6.892 4.365
-7.930 -11.951 -0.333
-7.647 -8.386 6.479
-7.141 -13.033 4.407
-5.848 -6.554 0.545
-4.768 -1.973 -1.093
-5.285 -9.289 -3.531
-5.120 -7.639 5.406
-4.973 -5.745 3.244
-5.545 -14.929 2.904
-4.491 -10.347 1.219
-3.197 -3.915 -2.630
-3.482 -9.609 3.874
-2.422 -4.990 2.210
-2.283 -3.089 0.042
-1.836 -7.643 -1.998
-7.962 -11.214 4.091
-7.833 -13.123 6.168
-6.736 -6.528 2.525
-6.885 -8.340 4.585
-6.797 -10.289 6.849
-6.248 -9.156 -1.631
-6.289 -10.979 0.404
-5.976 -5.802 4.996
-6.544 -14.847 4.834
-5.607 -2.087 0.775
-5.841 -3.939 2.814
-5.868 -7.378 -3.846
-5.821 -7.800 7.316
-6.172 -13.030 2.759
-5.279 -8.574 0.863
-5.052 -6.567 -1.439
-5.411 -12.245 5.116
-5.120 -10.451 3.089
-3.931 -3.777 -0.644
-4.150 -5.627 1.389
-4.370 -9.534 5.849
-4.081 -7.648 3.616
-3.612 -8.330 -2.864
-3.214 -3.074 1.730
-3.902 -12.090 1.592
-3.005 -1.186 -0.387
-3.921 -13.962 3.684
-3.593 -8.758 8.351
-3.136 -5.139 4.005
-3.380 -6.904 6.072
-3.468 -10.360 -0.461
-2.730 -5.869 -2.396
-2.676 -9.574 1.898
-2.455 -7.787 -0.080
-1.558 -2.939 -1.786
-1.502 -4.988 0.541
```



No. 4
This record from the Materials Project describes Li3Co2NiO6 after structural relaxation. The functional is PBE+U.

Theoretical density = 4.53 Mg/m³
Calculated formation energy = -1606 meV per atom
DFT total energy = -5.395 eV/atom
Distance to the lowest polymorph of the same formula = 1.31 kcal/mol of atoms

Structure (POSCAR):
```
Li3Co2NiO6
1.0
-0.006 -1.552 2.514
-9.368 -2.928 -0.019
2.403 -6.874 -2.443
Li Co Ni O
6 4 2 12
Cartesian
-0.941 -4.909 -1.231
-6.823 -3.666 1.247
-5.223 -7.736 -1.236
-1.731 -3.537 1.322
-6.010 -6.443 1.300
-0.156 -7.729 -1.245
-3.488 -5.651 0.029
-7.745 -8.507 0.024
-0.026 -0.076 -0.019
-4.343 -2.779 0.053
-8.524 -5.711 0.010
-2.667 -8.459 0.056
-4.230 -7.311 0.765
-0.837 -1.792 0.663
-6.927 -6.740 -0.749
-3.444 -2.675 1.850
0.126 -4.700 0.594
-3.501 -8.754 -1.859
-7.803 -5.402 1.930
-1.985 -6.603 -0.527
0.866 -5.887 -1.727
-4.989 -4.675 0.620
-6.295 -9.486 -0.531
-2.786 -3.965 -0.688
```



No. 5
This record from the Materials Project describes Li2CoNiO4 after structural relaxation. The functional is PBE+U.

Theoretical density = 4.77 Mg/m³
Calculated formation energy = -1623 meV per atom
DFT total energy = -5.320 eV/atom
Distance to the lowest polymorph of the same formula = 0.00 kcal/mol of atoms

Structure (POSCAR):
```
Li2CoNiO4
1.0
2.722 -1.981 4.712
3.621 4.518 -0.079
-5.733 0.814 0.051
Li Co Ni O
4 2 2 8
Cartesian
1.361 -0.991 2.356
3.172 1.268 2.316
-1.056 2.666 -0.014
0.305 1.675 2.342
1.811 2.259 -0.039
-2.867 0.407 0.025
-1.506 -0.584 2.381
0.000 0.000 0.000
4.691 1.877 3.577
-2.645 0.401 3.640
-1.345 0.903 1.109
0.016 0.026 3.643
0.594 3.325 1.040
1.955 2.448 3.574
3.255 2.949 1.043
-4.081 1.474 1.107
```



No. 6
This record from the Materials Project describes Li5Co3Ni2O10 after structural relaxation. The functional is PBE+U.

Theoretical density = 4.54 Mg/m³
Calculated formation energy = -1565 meV per atom
DFT total energy = -5.317 eV/atom
Distance to the lowest polymorph of the same formula = 0.00 kcal/mol of atoms

Structure (POSCAR):
```
Li5Co3Ni2O10
1.0
5.145 0.262 -0.001
2.361 2.526 6.812
1.946 -9.995 0.289
Li Co Ni O
10 6 4 20
Cartesian
2.153 -3.739 3.546
8.272 -8.464 3.700
5.552 -1.273 2.868
6.523 -6.264 3.014
3.902 -5.940 4.232
2.927 -0.936 4.088
6.426 -5.304 5.597
5.446 -0.310 5.463
3.033 -1.899 1.494
3.999 -6.899 1.648
0.486 -2.499 0.072
7.185 -2.487 6.165
1.293 0.278 0.791
1.459 -7.496 0.217
8.146 -7.494 6.313
2.279 -4.710 0.932
4.705 -3.127 4.878
5.656 -8.121 5.026
4.768 -4.083 2.220
3.774 0.918 2.079
4.758 -6.646 6.089
3.800 -1.664 5.946
4.678 -0.545 1.011
5.667 -5.557 1.156
5.457 -3.679 6.572
4.488 1.314 6.429
3.991 -3.523 0.527
4.968 -8.524 0.674
5.513 -4.596 3.887
4.522 0.416 3.735
3.956 -2.625 3.221
4.912 -7.607 3.359
1.283 -3.118 1.637
2.252 -8.103 1.775
8.173 -4.101 5.470
7.195 0.910 5.319
6.404 -1.932 4.629
7.392 -6.912 4.774
3.033 -5.292 2.471
2.075 -0.277 2.328
```



No. 7
This record from the Materials Project describes Li2CoNiO4 after structural relaxation. The functional is PBE+U.

Theoretical density = 4.57 Mg/m³
Calculated formation energy = -1555 meV per atom
DFT total energy = -5.251 eV/atom
Distance to the lowest polymorph of the same formula = 1.59 kcal/mol of atoms

Structure (POSCAR):
```
Li2CoNiO4
1.0
-1.522 2.433 2.870
1.896 4.768 -5.907
-5.071 0.287 -0.062
Li Co Ni O
4 2 2 8
Cartesian
-4.055 2.609 1.377
-0.572 4.849 -1.544
-1.595 2.455 -0.057
-3.182 4.981 -3.041
-0.628 4.875 -4.467
-4.114 2.634 -1.545
-1.571 2.535 -2.982
-5.051 0.295 -0.058
-0.605 1.391 -1.500
-2.189 3.920 -4.484
-2.539 3.627 -1.552
0.944 5.868 -4.475
-4.787 3.915 -0.118
-1.302 6.156 -3.040
-3.382 1.344 -0.063
0.100 3.580 -2.983
```



No. 8
This record from the Materials Project describes Li4CoNi3O8 after structural relaxation. The functional is PBE+U.

Theoretical density = 4.70 Mg/m³
Calculated formation energy = -1559 meV per atom
DFT total energy = -5.116 eV/atom

Structure (POSCAR):
```
Li4CoNi3O8
1.0
-0.039 -5.795 -0.021
-2.785 -2.893 -4.220
2.998 -2.858 -4.036
Li Co Ni O
4 1 3 8
Cartesian
0.087 -5.773 -4.139
0.107 -2.876 -4.128
1.480 -4.326 -2.029
-1.324 -10.117 -6.259
2.959 -8.653 -4.057
1.606 -4.305 -6.146
-1.412 -4.344 -2.120
-2.804 -5.791 -4.230
-1.543 -7.280 -4.191
-1.392 -4.241 -4.206
-0.040 -5.736 -1.922
-0.084 -2.975 -1.928
0.258 -8.571 -6.349
0.214 -5.810 -6.355
1.566 -7.305 -4.072
1.718 -4.266 -4.086
```



No. 9
This record from the Materials Project describes Li3Co2NiO6 after structural relaxation. The functional is PBE+U.

Theoretical density = 4.69 Mg/m³
Calculated formation energy = -1636 meV per atom
DFT total energy = -5.425 eV/atom
Distance to the lowest polymorph of the same formula = 0.63 kcal/mol of atoms

Structure (POSCAR):
```
Li3Co2NiO6
1.0
0.001 -1.504 2.459
-6.843 -8.120 -4.963
5.886 -2.763 -0.001
Li Co Ni O
6 4 2 12
Cartesian
-0.902 -4.809 -1.254
-4.350 -8.842 -3.719
4.224 -6.226 1.257
-5.106 -7.597 -1.269
3.393 -3.461 1.255
-0.088 -7.651 -1.306
2.465 -6.789 -2.467
5.867 -2.760 -0.004
1.658 -5.553 -0.022
-1.804 -9.572 -2.478
-2.597 -6.801 -2.473
0.819 -2.760 -0.004
5.098 -4.429 0.665
1.706 -8.425 -1.778
2.407 -3.936 -0.724
-0.939 -7.902 -3.150
0.151 -4.606 0.557
-3.352 -8.621 -1.896
1.526 -2.479 1.857
-1.883 -6.495 -0.596
0.965 -5.717 -1.811
-2.511 -9.879 -4.353
3.145 -6.567 -0.642
-0.257 -10.692 -3.162
```



No. 10
This record from the Materials Project describes Li3CoNi3O8 after structural relaxation. The functional is PBE+U.

Theoretical density = 4.68 Mg/m³
Calculated formation energy = -1428 meV per atom
DFT total energy = -5.095 eV/atom
Distance to the lowest polymorph of the same formula = 0.00 kcal/mol of atoms

Structure (POSCAR):
```
Li3CoNi3O8
1.0
-1.614 2.452 4.973
-0.011 2.953 -4.983
-13.479 -4.072 -2.637
Li Co Ni O
9 3 9 24
Cartesian
-12.584 0.618 -1.375
-11.772 -2.083 -1.371
-11.777 -0.607 -3.861
-7.551 -0.809 1.165
-7.545 0.664 -1.304
-6.766 -0.564 -3.815
-3.311 3.421 -1.272
-2.515 0.714 -1.269
-2.532 2.193 -3.782
-10.114 -0.104 -0.105
-5.038 1.429 -2.543
-15.056 1.342 -2.646
-10.077 1.392 -2.594
-9.258 -1.329 -2.586
-9.230 0.173 -5.078
-5.840 1.178 2.435
-5.845 2.655 -0.057
-5.033 -0.048 -0.052
-14.287 -2.838 -0.155
-0.847 2.685 -0.009
-15.092 -0.155 -0.158
-13.605 -1.236 -0.928
-13.551 0.245 -3.151
-12.782 -0.831 -5.872
-12.814 -2.353 -3.174
-10.007 -1.459 -4.575
-10.728 -1.811 0.435
-10.769 -0.390 -1.858
-9.939 -2.927 -1.813
-9.422 0.180 1.593
-9.388 1.531 -0.641
-8.529 0.300 -3.300
-8.556 -1.077 -0.601
-6.544 2.433 -2.041
-6.523 0.951 0.495
-5.747 -0.191 -1.946
-5.715 1.150 -4.285
-3.553 1.906 -5.580
-4.362 1.708 -0.801
-4.329 3.048 -3.140
-3.532 0.425 -3.045
-2.305 3.775 0.525
-2.260 2.183 3.281
-1.507 0.982 0.501
-1.547 2.552 -1.787
```



No. 11
This record from the Materials Project describes Li5Co2Ni5O12 after structural relaxation. The functional is PBE+U.

Theoretical density = 5.16 Mg/m³
Calculated formation energy = -1483 meV per atom
DFT total energy = -5.142 eV/atom

Structure (POSCAR):
```
Li5Co2Ni5O12
1.0
-2.286 0.585 4.429
0.711 -4.576 -1.935
7.838 -1.937 5.263
Li Co Ni O
5 2 5 12
Cartesian
0.989 -3.909 2.644
5.771 -2.875 4.058
0.462 -4.146 -1.405
4.485 -4.019 6.391
1.268 -1.029 2.451
3.888 -4.267 2.273
-1.536 -0.707 2.837
5.506 -5.741 4.203
2.284 -2.816 0.313
-0.542 -2.418 0.727
1.889 -0.825 6.516
2.885 -2.538 4.403
5.887 -5.629 6.198
4.101 -4.204 4.183
0.592 -3.971 0.670
0.947 -1.283 0.347
2.743 -2.723 2.342
7.089 -4.398 4.077
3.096 -2.429 6.433
-0.321 -2.211 2.706
1.661 -0.906 4.522
1.334 -3.791 4.796
6.051 -2.799 6.183
4.381 -1.194 4.125
```



No. 12
This record from the Materials Project describes Li2CoNiO4 after structural relaxation. The functional is PBE+U.

Theoretical density = 4.52 Mg/m³
Calculated formation energy = -1582 meV per atom
DFT total energy = -5.279 eV/atom
Distance to the lowest polymorph of the same formula = 0.94 kcal/mol of atoms

Structure (POSCAR):
```
Li2CoNiO4
1.0
2.428 -0.254 1.701
-1.067 -4.889 0.704
2.327 -2.726 -3.566
Li Co Ni O
2 1 1 4
Cartesian
0.630 -3.808 -1.431
2.378 -1.490 -0.933
0.681 -2.572 1.203
1.261 -7.616 -2.863
3.307 -5.928 -0.563
0.382 -1.942 -0.598
2.786 -3.588 -1.742
0.903 -4.282 0.581
```



DFT total energy of number 6 (Li5Co3Ni2O10)?
-5.317 eV/atom



Copy entry 9 word for word.
This record from the Materials Project describes Li3Co2NiO6 after structural relaxation. The functional is PBE+U.

Theoretical density = 4.69 Mg/m³
Calculated formation energy = -1636 meV per atom
DFT total energy = -5.425 eV/atom
Distance to the lowest polymorph of the same formula = 0.63 kcal/mol of atoms

Structure (POSCAR):
```
Li3Co2NiO6
1.0
0.001 -1.504 2.459
-6.843 -8.120 -4.963
5.886 -2.763 -0.001
Li Co Ni O
6 4 2 12
Cartesian
-0.902 -4.809 -1.254
-4.350 -8.842 -3.719
4.224 -6.226 1.257
-5.106 -7.597 -1.269
3.393 -3.461 1.255
-0.088 -7.651 -1.306
2.465 -6.789 -2.467
5.867 -2.760 -0.004
1.658 -5.553 -0.022
-1.804 -9.572 -2.478
-2.597 -6.801 -2.473
0.819 -2.760 -0.004
5.098 -4.429 0.665
1.706 -8.425 -1.778
2.407 -3.936 -0.724
-0.939 -7.902 -3.150
0.151 -4.606 0.557
-3.352 -8.621 -1.896
1.526 -2.479 1.857
-1.883 -6.495 -0.596
0.965 -5.717 -1.811
-2.511 -9.879 -4.353
3.145 -6.567 -0.642
-0.257 -10.692 -3.162
```



What is the formula in the seventh record?
Li2CoNiO4



Repeat the tenth record exactly.
This record from the Materials Project describes Li3CoNi3O8 after structural relaxation. The functional is PBE+U.

Theoretical density = 4.68 Mg/m³
Calculated formation energy = -1428 meV per atom
DFT total energy = -5.095 eV/atom
Distance to the lowest polymorph of the same formula = 0.00 kcal/mol of atoms

Structure (POSCAR):
```
Li3CoNi3O8
1.0
-1.614 2.452 4.973
-0.011 2.953 -4.983
-13.479 -4.072 -2.637
Li Co Ni O
9 3 9 24
Cartesian
-12.584 0.618 -1.375
-11.772 -2.083 -1.371
-11.777 -0.607 -3.861
-7.551 -0.809 1.165
-7.545 0.664 -1.304
-6.766 -0.564 -3.815
-3.311 3.421 -1.272
-2.515 0.714 -1.269
-2.532 2.193 -3.782
-10.114 -0.104 -0.105
-5.038 1.429 -2.543
-15.056 1.342 -2.646
-10.077 1.392 -2.594
-9.258 -1.329 -2.586
-9.230 0.173 -5.078
-5.840 1.178 2.435
-5.845 2.655 -0.057
-5.033 -0.048 -0.052
-14.287 -2.838 -0.155
-0.847 2.685 -0.009
-15.092 -0.155 -0.158
-13.605 -1.236 -0.928
-13.551 0.245 -3.151
-12.782 -0.831 -5.872
-12.814 -2.353 -3.174
-10.007 -1.459 -4.575
-10.728 -1.811 0.435
-10.769 -0.390 -1.858
-9.939 -2.927 -1.813
-9.422 0.180 1.593
-9.388 1.531 -0.641
-8.529 0.300 -3.300
-8.556 -1.077 -0.601
-6.544 2.433 -2.041
-6.523 0.951 0.495
-5.747 -0.191 -1.946
-5.715 1.150 -4.285
-3.553 1.906 -5.580
-4.362 1.708 -0.801
-4.329 3.048 -3.140
-3.532 0.425 -3.045
-2.305 3.775 0.525
-2.260 2.183 3.281
-1.507 0.982 0.501
-1.547 2.552 -1.787
```